# 1
{"formula": "BeH12S2N2O10", "functional": "GGA-PBE", "state": "relaxed", "lattice_angstrom": [[-4.9617, -9.9542, 3.4930], [10.7730, -4.7998, 1.6244], [0.3385, 3.0904, 6.8864]], "species": ["Be", "Be", "Be", "Be", "H", "H", "H", "H", "H", "H", "H", "H", "H", "H", "H", "H", "H", "H", "H", "H", "H", "H", "H", "H", "H", "H", "H", "H", "H", "H", "H", "H", "H", "H", "H", "H", "H", "H", "H", "H", "H", "H", "H", "H", "H", "H", "H", "H", "H", "H", "H", "H", "S", "S", "S", "S", "S", "S", "S", "S", "N", "N", "N", "N", "N", "N", "N", "N", "O", "O", "O", "O", "O", "O", "O", "O", "O", "O", "O", "O", "O", "O", "O", "O", "O", "O", "O", "O", "O", "O", "O", "O", "O", "O", "O", "O", "O", "O", "O", "O", "O", "O", "O", "O", "O", "O", "O", "O"], "fractional_positions": [[0.2338, 0.4199, 0.4322], [0.7662, 0.9199, 0.0678], [0.7662, 0.5801, 0.5678], [0.2338, 0.0801, 0.9322], [0.3993, 0.3177, 0.4722], [0.6007, 0.8177, 0.0278], [0.6007, 0.6823, 0.5278], [0.3993, 0.1823, 0.9722], [0.2873, 0.2356, 0.4132], [0.7127, 0.7356, 0.0868], [0.7127, 0.7644, 0.5868], [0.2873, 0.2644, 0.9132], [0.1820, 0.4159, 0.1262], [0.8180, 0.9159, 0.3738], [0.8180, 0.5841, 0.8738], [0.1820, 0.0841, 0.6262], [0.0884, 0.4827, 0.2299], [0.9116, 0.9827, 0.2701], [0.9116, 0.5173, 0.7701], [0.0884, 0.0173, 0.7299], [0.8893, 0.3305, 0.4018], [0.1107, 0.8305, 0.0982], [0.1107, 0.6695, 0.5982], [0.8893, 0.1695, 0.9018], [0.8299, 0.2727, 0.5760], [0.1701, 0.7727, 0.9240], [0.1701, 0.7273, 0.4240], [0.8299, 0.2273, 0.0760], [0.9244, 0.1962, 0.4632], [0.0756, 0.6962, 0.0368], [0.0756, 0.8038, 0.5368], [0.9244, 0.3038, 0.9632], [0.9692, 0.3065, 0.5944], [0.0308, 0.8065, 0.9056], [0.0308, 0.6935, 0.4056], [0.9692, 0.1935, 0.0944], [0.5332, 0.4460, 0.1986], [0.4668, 0.9460, 0.3014], [0.4668, 0.5540, 0.8014], [0.5332, 0.0540, 0.6986], [0.6149, 0.4296, 0.0265], [0.3851, 0.9296, 0.4735], [0.3851, 0.5704, 0.9735], [0.6149, 0.0704, 0.5265], [0.6742, 0.4131, 0.2393], [0.3258, 0.9131, 0.2607], [0.3258, 0.5869, 0.7607], [0.6742, 0.0869, 0.7393], [0.5824, 0.3166, 0.1431], [0.4176, 0.8166, 0.3569], [0.4176, 0.6834, 0.8569], [0.5824, 0.1834, 0.6431], [0.1263, 0.4442, 0.7647], [0.8737, 0.9442, 0.7353], [0.8737, 0.5558, 0.2353], [0.1263, 0.0558, 0.2647], [0.6355, 0.3930, 0.6532], [0.3645, 0.8930, 0.8468], [0.3645, 0.6070, 0.3468], [0.6355, 0.1070, 0.1532], [0.9034, 0.2745, 0.5078], [0.0966, 0.7745, 0.9922], [0.0966, 0.7255, 0.4922], [0.9034, 0.2255, 0.0078], [0.6014, 0.4016, 0.1533], [0.3986, 0.9016, 0.3467], [0.3986, 0.5984, 0.8467], [0.6014, 0.0984, 0.6533], [0.1419, 0.5673, 0.7660], [0.8581, 0.0673, 0.7340], [0.8581, 0.4327, 0.2340], [0.1419, 0.9327, 0.2660], [0.0055, 0.4142, 0.7960], [0.9945, 0.9142, 0.7040], [0.9945, 0.5858, 0.2040], [0.0055, 0.0858, 0.2960], [0.2088, 0.3905, 0.9014], [0.7912, 0.8905, 0.5986], [0.7912, 0.6095, 0.0986], [0.2088, 0.1095, 0.4014], [0.1444, 0.3970, 0.5833], [0.8556, 0.8970, 0.9168], [0.8556, 0.6030, 0.4168], [0.1444, 0.1030, 0.0832], [0.5909, 0.4637, 0.7923], [0.4091, 0.9637, 0.7077], [0.4091, 0.5363, 0.2077], [0.5909, 0.0363, 0.2923], [0.7283, 0.3177, 0.7292], [0.2717, 0.8177, 0.7708], [0.2717, 0.6823, 0.2708], [0.7283, 0.1823, 0.2292], [0.5431, 0.3257, 0.5544], [0.4569, 0.8257, 0.9456], [0.4569, 0.6743, 0.4456], [0.5431, 0.1743, 0.0544], [0.6856, 0.4708, 0.5183], [0.3144, 0.9708, 0.9817], [0.3144, 0.5292, 0.4817], [0.6856, 0.0292, 0.0183], [0.3198, 0.3128, 0.4115], [0.6802, 0.8128, 0.0885], [0.6802, 0.6872, 0.5885], [0.3198, 0.1872, 0.9115], [0.1509, 0.4243, 0.2436], [0.8491, 0.9243, 0.2564], [0.8491, 0.5757, 0.7564], [0.1509, 0.0757, 0.7436]], "energy_mp2020_ev_per_atom": -5.78, "final_energy_ev_per_atom": -5.530}

***

# 2
{"formula": "Na2HgS2", "functional": "GGA-PBE", "state": "relaxed", "lattice_angstrom": [[7.4868, 0.0000, 0.0000], [0.0000, 7.5434, 0.0000], [0.0000, 0.0000, 18.3528]], "species": ["Na", "Na", "Na", "Na", "Na", "Na", "Na", "Na", "Na", "Na", "Na", "Na", "Na", "Na", "Na", "Na", "Hg", "Hg", "Hg", "Hg", "Hg", "Hg", "Hg", "Hg", "S", "S", "S", "S", "S", "S", "S", "S", "S", "S", "S", "S", "S", "S", "S", "S"], "fractional_positions": [[0.5033, 0.7288, 0.5547], [0.0033, 0.2712, 0.9453], [0.9967, 0.2288, 0.4453], [0.4967, 0.7712, 0.0547], [0.4967, 0.2712, 0.4453], [0.9967, 0.7288, 0.0547], [0.0033, 0.7712, 0.5547], [0.5033, 0.2288, 0.9453], [0.8319, 0.5455, 0.6962], [0.3319, 0.4545, 0.8038], [0.6681, 0.0455, 0.3038], [0.1681, 0.9545, 0.1962], [0.1681, 0.4545, 0.3038], [0.6681, 0.5455, 0.1962], [0.3319, 0.9545, 0.6962], [0.8319, 0.0455, 0.8038], [0.2730, 0.3490, 0.1109], [0.7730, 0.6510, 0.3891], [0.2270, 0.8490, 0.8891], [0.7270, 0.6510, 0.8891], [0.2270, 0.3490, 0.6109], [0.7730, 0.1510, 0.1109], [0.2730, 0.8490, 0.3891], [0.7270, 0.1510, 0.6109], [0.6974, 0.8880, 0.6788], [0.3026, 0.6120, 0.1788], [0.8026, 0.3880, 0.3212], [0.8026, 0.8880, 0.1788], [0.1974, 0.1120, 0.8212], [0.3026, 0.1120, 0.3212], [0.6974, 0.3880, 0.8212], [0.1974, 0.6120, 0.6788], [0.2556, 0.0768, 0.5491], [0.7556, 0.9232, 0.9509], [0.2444, 0.5768, 0.4509], [0.7444, 0.4232, 0.0491], [0.7444, 0.9232, 0.4509], [0.2444, 0.0768, 0.0491], [0.7556, 0.4232, 0.5491], [0.2556, 0.5768, 0.9509]], "energy_mp2020_ev_per_atom": -3.21, "final_energy_ev_per_atom": -3.005}

***

| no. | calculated volume (A^3/atom) | E_form (eV per atom) |
| --- | --- | --- |
| 1 | 9.7 | -1.38 |
| 2 | 25.9 | -0.96 |